Here is a geometry-optimized CoBi6P2O14F2 structure from the Materials Project database. Energies are from PBE with a Hubbard U.

## Properties
For the electronic total energy, the calculation gives -0.22509 hartree per atom. The calculation puts the volume at 747.11 Å³ per cell. As for the corrected total energy (MP2020 scheme): -6.61 eV/atom. The formation energy comes out at -2.037 eV per atom.

abc: 8.8525 8.8525 16.9144
angles: 108.93 108.93 36.85
Last column: nearest neighbours and their distance in Å.
Positions (direct):
Co (0.0000, 0.0000, 0.0000)  2 O 1.93
Co (0.0000, 0.0000, 0.5000)  2 O 1.93
Bi (0.1066, 0.1135, 0.8260)  4 O 2.20-2.45
Bi (0.1135, 0.1066, 0.3260)  4 O 2.20-2.45
Bi (0.1691, 0.2307, 0.1651)  3 O 2.24-2.34
Bi (0.2307, 0.1691, 0.6651)  3 O 2.24-2.34
Bi (0.4228, 0.4549, 0.8286)  4 O 2.24-2.44
Bi (0.4549, 0.4228, 0.3286)  4 O 2.24-2.44
Bi (0.5451, 0.5772, 0.6714)  4 O 2.24-2.44
Bi (0.5772, 0.5451, 0.1714)  4 O 2.24-2.44
Bi (0.7693, 0.8309, 0.3349)  3 O 2.24-2.34
Bi (0.8309, 0.7693, 0.8349)  3 O 2.24-2.34
Bi (0.8865, 0.8934, 0.6740)  4 O 2.20-2.45
Bi (0.8934, 0.8865, 0.1740)  4 O 2.20-2.45
P (0.3517, 0.3649, 0.9961)  3 O 1.52-1.53, 1 F 1.63
P (0.3649, 0.3517, 0.4961)  3 O 1.52-1.53, 1 F 1.63
P (0.6351, 0.6483, 0.5039)  3 O 1.52-1.53, 1 F 1.63
P (0.6483, 0.6351, 0.0039)  3 O 1.52-1.53, 1 F 1.63
O (0.0501, 0.8302, 0.8872)  1 Co 1.93
O (0.0693, 0.5945, 0.2439)  3 Bi 2.20-2.44
O (0.0941, 0.5679, 0.7416)  3 Bi 2.24-2.30
O (0.1698, 0.9499, 0.6128)  1 Co 1.93
O (0.1752, 0.6266, 0.4857)  1 P 1.52
O (0.2032, 0.3844, 0.9125)  1 P 1.53
O (0.2181, 0.6154, 0.0502)  1 P 1.53
O (0.2196, 0.7804, 0.2500)  2 Bi 2.22
O (0.2825, 0.7175, 0.7500)  4 Bi 2.24-2.45
O (0.3734, 0.8248, 0.0143)  1 P 1.52
O (0.3844, 0.2032, 0.4125)  1 P 1.53
O (0.3846, 0.7819, 0.4498)  1 P 1.53
O (0.4055, 0.9307, 0.2561)  3 Bi 2.20-2.44
O (0.4321, 0.9059, 0.7584)  3 Bi 2.24-2.30
O (0.5679, 0.0941, 0.2416)  3 Bi 2.24-2.30
O (0.5945, 0.0693, 0.7439)  3 Bi 2.20-2.44
O (0.6154, 0.2181, 0.5502)  1 P 1.53
O (0.6156, 0.7968, 0.5875)  1 P 1.53
O (0.6266, 0.1752, 0.9857)  1 P 1.52
O (0.7175, 0.2825, 0.2500)  4 Bi 2.24-2.45
O (0.7804, 0.2196, 0.7500)  2 Bi 2.22
O (0.7819, 0.3846, 0.9498)  1 P 1.53
O (0.7968, 0.6156, 0.0875)  1 P 1.53
O (0.8248, 0.3734, 0.5143)  1 P 1.52
O (0.8302, 0.0501, 0.3872)  1 Co 1.93
O (0.9059, 0.4321, 0.2584)  3 Bi 2.24-2.30
O (0.9307, 0.4055, 0.7561)  3 Bi 2.20-2.44
O (0.9499, 0.1698, 0.1128)  1 Co 1.93
F (0.2346, 0.3673, 0.5529)  1 P 1.63
F (0.3673, 0.2346, 0.0529)  1 P 1.63
F (0.6327, 0.7654, 0.9471)  1 P 1.63
F (0.7654, 0.6327, 0.4471)  1 P 1.63